1.
First-principles (r2SCAN) data for crystalline NbTe4I at its relaxed geometry, as listed in Materials Project.

Results
uncorrected energy = -25.54 eV per atom
SG = No. 14

Geometry as POSCAR:
```
NbTe4I
1.0
-3.100 11.274 -10.791
-7.780 -0.359 1.859
-0.364 9.300 9.821
Te Nb I
32 8 8
direct
0.335 0.518 0.398
0.280 0.471 0.149
0.166 0.994 0.834
0.842 0.479 0.613
0.892 0.259 0.375
0.666 0.006 0.666
0.835 0.482 0.102
0.291 0.039 0.590
0.343 0.989 0.859
0.709 0.961 0.410
0.780 0.529 0.351
0.108 0.741 0.625
0.158 0.521 0.387
0.209 0.039 0.090
0.165 0.518 0.898
0.220 0.471 0.649
0.157 0.989 0.359
0.901 0.235 0.886
0.392 0.741 0.125
0.401 0.765 0.614
0.843 0.011 0.641
0.599 0.235 0.386
0.342 0.521 0.887
0.099 0.765 0.114
0.608 0.259 0.875
0.665 0.482 0.602
0.791 0.961 0.910
0.334 0.994 0.334
0.658 0.479 0.113
0.657 0.011 0.141
0.834 0.006 0.166
0.720 0.529 0.851
0.756 0.243 0.756
0.751 0.245 0.005
0.256 0.757 0.744
0.244 0.757 0.244
0.744 0.243 0.256
0.749 0.245 0.505
0.251 0.755 0.495
0.249 0.755 0.995
0.531 0.629 0.358
0.966 0.862 0.385
0.466 0.138 0.115
0.969 0.629 0.858
0.534 0.862 0.885
0.031 0.371 0.142
0.469 0.371 0.642
0.034 0.138 0.615
```

2.
First-principles (r2SCAN) data for crystalline Hg at its relaxed geometry, as listed in Materials Project.

Results
offset from the most stable computed form = 7 meV/atom
SG = No. 213

Geometry as POSCAR:
```
Hg
1.0
-7.022 -2.754 3.501
2.417 -7.846 -1.324
3.742 -0.100 7.425
Hg
20
direct
0.795 0.955 0.375
0.061 0.061 0.061
0.939 0.561 0.439
0.705 0.045 0.875
0.125 0.205 0.455
0.955 0.375 0.795
0.439 0.939 0.561
0.311 0.189 0.811
0.295 0.545 0.625
0.375 0.795 0.955
0.189 0.811 0.311
0.545 0.625 0.295
0.205 0.455 0.125
0.561 0.439 0.939
0.875 0.705 0.045
0.689 0.689 0.689
0.045 0.875 0.705
0.811 0.311 0.189
0.625 0.295 0.545
0.455 0.125 0.205
```

3.
First-principles (r2SCAN) data for crystalline GdCuPb at its relaxed geometry, as listed in Materials Project.

Results
uncorrected energy = -37.26 eV per atom
SG = No. 194

Geometry as POSCAR:
```
GdCuPb
1.0
-4.237 1.675 0.507
1.686 -2.942 3.082
2.778 5.809 4.026
Gd Cu Pb
2 2 2
direct
0.000 0.000 0.000
0.000 0.000 0.500
0.333 0.667 0.250
0.667 0.333 0.750
0.333 0.667 0.750
0.667 0.333 0.250
```